First-principles (PBE with a Hubbard U) data for an optimized crystal structure of Li6V3P8O29, as listed in the Materials Project.

Cell: 9.810 9.822 13.968 Å, 90.32 90.40 119.88°
Fractional coordinates of all 92 atoms:
Li  0.000  0.000  0.000
Li  0.006  0.002  0.498
Li  0.014  0.447  0.443
Li  0.020  0.580  0.950
Li  0.123  0.368  0.826
Li  0.256  0.354  0.323
Li  0.263  0.902  0.827
Li  0.363  0.720  0.378
Li  0.441  0.451  0.946
Li  0.448  0.015  0.447
Li  0.571  0.994  0.952
Li  0.580  0.578  0.448
V  0.346  0.108  0.638
V  0.346  0.243  0.137
V  0.775  0.675  0.640
V  0.778  0.108  0.140
V  0.907  0.243  0.636
V  0.911  0.679  0.143
P  0.013  0.013  0.258
P  0.014  0.013  0.758
P  0.028  0.593  0.732
P  0.034  0.450  0.229
P  0.113  0.353  0.044
P  0.120  0.764  0.546
P  0.252  0.357  0.543
P  0.252  0.905  0.046
P  0.433  0.993  0.230
P  0.434  0.446  0.727
P  0.574  0.595  0.234
P  0.581  0.997  0.734
P  0.652  0.897  0.549
P  0.660  0.765  0.048
P  0.677  0.342  0.514
P  0.680  0.345  0.017
O  0.009  0.591  0.225
O  0.015  0.431  0.729
O  0.016  0.165  0.716
O  0.017  0.021  0.865
O  0.018  0.016  0.366
O  0.018  0.867  0.215
O  0.089  0.343  0.542
O  0.090  0.755  0.044
O  0.096  0.430  0.956
O  0.098  0.680  0.825
O  0.125  0.454  0.318
O  0.133  0.670  0.466
O  0.138  0.463  0.136
O  0.143  0.694  0.647
O  0.161  0.168  0.221
O  0.164  0.009  0.722
O  0.226  0.047  0.064
O  0.232  0.192  0.558
O  0.262  0.337  0.042
O  0.263  0.935  0.546
O  0.340  0.464  0.637
O  0.341  0.885  0.138
O  0.344  0.428  0.817
O  0.346  0.442  0.456
O  0.347  0.926  0.958
O  0.360  0.907  0.320
O  0.428  0.009  0.725
O  0.428  0.428  0.222
O  0.429  0.147  0.218
O  0.443  0.295  0.706
O  0.527  0.343  0.057
O  0.533  0.188  0.552
O  0.546  0.888  0.469
O  0.561  0.665  0.326
O  0.562  0.693  0.146
O  0.564  0.878  0.649
O  0.569  0.666  0.965
O  0.590  0.932  0.827
O  0.598  0.590  0.726
O  0.601  0.022  0.221
O  0.669  0.487  0.554
O  0.679  0.196  0.056
O  0.681  0.933  0.046
O  0.682  0.755  0.547
O  0.684  0.354  0.910
O  0.686  0.341  0.408
O  0.725  0.158  0.712
O  0.727  0.589  0.222
O  0.817  0.049  0.555
O  0.826  0.496  0.062
O  0.827  0.786  0.061
O  0.832  0.349  0.558
O  0.863  0.004  0.216
O  0.867  0.580  0.708
O  0.867  0.868  0.714
O  0.879  0.294  0.217
O  0.969  0.775  0.554
O  0.970  0.187  0.061

## Properties
- Offset from the most stable computed form: 0.003 eV per atom
- Crystal system: triclinic
- DFT total energy: -7.02 eV/atom
- MP2020-corrected energy: -7.56 eV/atom
- Energy of formation from the pure elements: -2.659 eV/atom


First-principles (PBE with a Hubbard U) data for an optimized crystal structure of Ba2MgFe2B2P4O18, as listed in the Materials Project.

Cell: 5.373 8.287 8.292 Å, 89.57 87.76 80.34°
Fractional coordinates of all 29 atoms:
Ba  0.000  0.000  0.000
Ba  0.443  0.235  0.625
Mg  0.460  0.315  0.106
Fe  0.200  0.620  0.301
Fe  0.982  0.917  0.519
B  0.606  0.659  0.056
B  0.838  0.572  0.575
P  0.497  0.931  0.252
P  0.522  0.819  0.748
P  0.926  0.416  0.884
P  0.939  0.304  0.371
O  0.174  0.312  0.936
O  0.196  0.359  0.324
O  0.235  0.876  0.286
O  0.275  0.924  0.698
O  0.450  0.557  0.127
O  0.461  0.066  0.120
O  0.463  0.763  0.925
O  0.592  0.660  0.644
O  0.614  0.981  0.403
O  0.687  0.781  0.173
O  0.711  0.313  0.890
O  0.737  0.921  0.743
O  0.756  0.451  0.460
O  0.803  0.255  0.227
O  0.857  0.574  0.989
O  0.986  0.470  0.706
O  0.988  0.167  0.501
O  0.995  0.673  0.499

## Properties
- Offset from the most stable computed form: 0.000 eV per atom
- Crystal system: triclinic
- DFT total energy: -7.31 eV/atom
- MP2020-corrected energy: -7.89 eV/atom
- Energy of formation from the pure elements: -2.839 eV/atom


First-principles (PBE with a Hubbard U) data for an optimized crystal structure of Ba2YNi3O8, as listed in the Materials Project.

Cell: 3.943 3.943 11.558 Å, 90.00 90.00 90.00°
Fractional coordinates of all 14 atoms:
Ba  0.000  0.000  0.172
Ba  0.000  0.000  0.828
Y  0.000  0.000  0.500
Ni  0.500  0.500  0.000
Ni  0.500  0.500  0.343
Ni  0.500  0.500  0.657
O  0.000  0.500  0.000
O  0.000  0.500  0.378
O  0.000  0.500  0.622
O  0.500  0.000  0.000
O  0.500  0.000  0.378
O  0.500  0.000  0.622
O  0.500  0.500  0.172
O  0.500  0.500  0.828

## Properties
- Crystal system: tetragonal
- DFT total energy: -5.94 eV/atom
- MP2020-corrected energy: -6.88 eV/atom
- Energy of formation from the pure elements: -2.075 eV/atom


First-principles (PBE with a Hubbard U) data for an optimized crystal structure of Li2Mn5P4O16, as listed in the Materials Project.

Cell: 5.352 8.276 8.376 Å, 111.37 90.22 102.14°
Fractional coordinates of all 27 atoms:
Li  0.108  0.062  0.296
Li  0.892  0.938  0.704
Mn  0.145  0.409  0.668
Mn  0.399  0.744  0.216
Mn  0.500  0.000  0.000
Mn  0.601  0.256  0.784
Mn  0.855  0.591  0.332
P  0.119  0.297  0.028
P  0.368  0.793  0.575
P  0.632  0.207  0.425
P  0.881  0.703  0.972
O  0.148  0.485  0.170
O  0.169  0.793  0.038
O  0.181  0.816  0.443
O  0.236  0.175  0.095
O  0.238  0.636  0.621
O  0.256  0.320  0.869
O  0.375  0.230  0.508
O  0.421  0.970  0.736
O  0.579  0.030  0.264
O  0.625  0.770  0.492
O  0.744  0.680  0.131
O  0.762  0.364  0.379
O  0.764  0.825  0.905
O  0.819  0.184  0.557
O  0.831  0.207  0.962
O  0.852  0.515  0.830

## Properties
- Offset from the most stable computed form: 0.000 eV per atom
- Crystal system: triclinic
- DFT total energy: -7.40 eV/atom
- MP2020-corrected energy: -8.11 eV/atom
- Energy of formation from the pure elements: -2.542 eV/atom


First-principles (PBE with a Hubbard U) data for an optimized crystal structure of Li4V3P8O29, as listed in the Materials Project.

Cell: 9.748 9.770 14.137 Å, 90.14 90.50 119.69°
Fractional coordinates of all 88 atoms:
Li  0.000  0.000  0.000
Li  0.008  0.444  0.950
Li  0.358  0.258  0.832
Li  0.455  0.427  0.446
Li  0.584  0.024  0.446
Li  0.681  0.343  0.900
Li  0.905  0.256  0.332
Li  0.986  0.571  0.454
V  0.108  0.345  0.142
V  0.111  0.784  0.645
V  0.246  0.346  0.639
V  0.251  0.912  0.144
V  0.673  0.771  0.137
V  0.677  0.907  0.650
P  0.007  0.009  0.259
P  0.015  0.015  0.762
P  0.339  0.678  0.019
P  0.344  0.680  0.523
P  0.359  0.249  0.049
P  0.360  0.112  0.546
P  0.449  0.433  0.229
P  0.454  0.039  0.732
P  0.595  0.029  0.231
P  0.597  0.567  0.736
P  0.762  0.659  0.551
P  0.763  0.123  0.046
P  0.899  0.653  0.053
P  0.904  0.251  0.553
P  0.994  0.435  0.733
P  0.995  0.579  0.237
O  0.003  0.000  0.364
O  0.007  0.162  0.224
O  0.009  0.864  0.717
O  0.010  0.006  0.868
O  0.011  0.428  0.230
O  0.022  0.606  0.718
O  0.052  0.815  0.058
O  0.056  0.242  0.571
O  0.149  0.435  0.719
O  0.151  0.003  0.212
O  0.155  0.726  0.213
O  0.168  0.160  0.728
O  0.189  0.530  0.055
O  0.195  0.235  0.061
O  0.195  0.680  0.566
O  0.200  0.963  0.568
O  0.295  0.881  0.720
O  0.297  0.442  0.207
O  0.333  0.079  0.060
O  0.339  0.259  0.548
O  0.340  0.825  0.069
O  0.344  0.689  0.914
O  0.345  0.688  0.418
O  0.346  0.529  0.560
O  0.422  0.429  0.726
O  0.426  0.006  0.227
O  0.440  0.098  0.461
O  0.442  0.356  0.320
O  0.444  0.323  0.960
O  0.465  0.137  0.816
O  0.468  0.340  0.140
O  0.471  0.138  0.638
O  0.490  0.680  0.064
O  0.494  0.827  0.569
O  0.586  0.870  0.210
O  0.591  0.001  0.726
O  0.594  0.602  0.220
O  0.595  0.726  0.722
O  0.670  0.576  0.465
O  0.674  0.553  0.823
O  0.679  0.102  0.322
O  0.681  0.148  0.965
O  0.681  0.552  0.643
O  0.689  0.143  0.146
O  0.757  0.085  0.554
O  0.759  0.687  0.052
O  0.768  0.819  0.572
O  0.772  0.969  0.054
O  0.858  0.868  0.208
O  0.866  0.016  0.719
O  0.878  0.562  0.152
O  0.882  0.340  0.643
O  0.884  0.543  0.975
O  0.911  0.369  0.823
O  0.916  0.340  0.464
O  0.931  0.591  0.330
O  0.933  0.686  0.552
O  0.939  0.263  0.053

## Properties
- Offset from the most stable computed form: 0.013 eV per atom
- Crystal system: triclinic
- DFT total energy: -7.04 eV/atom
- MP2020-corrected energy: -7.61 eV/atom
- Energy of formation from the pure elements: -2.571 eV/atom


First-principles (PBE with a Hubbard U) data for an optimized crystal structure of MgVP2O7, as listed in the Materials Project.

Cell: 6.595 11.136 7.042 Å, 87.64 90.62 79.53°
Fractional coordinates of all 44 atoms:
O  0.758  0.042  0.443
O  0.731  0.269  0.463
P  0.622  0.666  0.025
O  0.011  0.911  0.837
O  0.066  0.130  0.735
O  0.066  0.630  0.235
V  0.669  0.441  0.330
O  0.399  0.175  0.449
O  0.601  0.325  0.051
Mg  0.846  0.218  0.918
O  0.989  0.089  0.163
V  0.331  0.059  0.170
Mg  0.154  0.782  0.082
P  0.840  0.506  0.736
Mg  0.154  0.282  0.582
O  0.934  0.870  0.265
P  0.160  0.994  0.764
O  0.758  0.542  0.943
O  0.644  0.635  0.241
O  0.242  0.958  0.557
O  0.349  0.470  0.399
V  0.331  0.559  0.670
O  0.601  0.825  0.551
O  0.989  0.589  0.663
O  0.644  0.135  0.741
O  0.349  0.970  0.899
P  0.160  0.494  0.264
O  0.242  0.458  0.057
O  0.011  0.411  0.337
O  0.269  0.231  0.037
O  0.651  0.530  0.601
V  0.669  0.941  0.830
O  0.731  0.769  0.963
O  0.399  0.675  0.949
P  0.622  0.166  0.525
O  0.651  0.030  0.101
Mg  0.846  0.718  0.418
P  0.840  0.006  0.236
O  0.356  0.865  0.260
O  0.356  0.365  0.759
P  0.378  0.834  0.475
O  0.269  0.731  0.537
P  0.378  0.334  0.975
O  0.934  0.370  0.765

## Properties
- Offset from the most stable computed form: 0.036 eV per atom
- DFT total energy: -7.27 eV/atom
- MP2020-corrected energy: -7.86 eV/atom
- Energy of formation from the pure elements: -2.755 eV/atom


First-principles (PBE with a Hubbard U) data for an optimized crystal structure of CsEuMo2O8, as listed in the Materials Project.

Cell: 7.752 7.752 7.923 Å, 117.92 117.92 88.98°
Fractional coordinates of all 24 atoms:
Cs  0.198  0.802  0.750
Cs  0.802  0.198  0.250
Eu  0.231  0.769  0.250
Eu  0.769  0.231  0.750
Mo  0.306  0.307  0.764
Mo  0.307  0.306  0.264
Mo  0.693  0.694  0.736
Mo  0.694  0.693  0.236
O  0.057  0.209  0.695
O  0.075  0.383  0.132
O  0.209  0.057  0.195
O  0.240  0.382  0.565
O  0.371  0.579  0.027
O  0.382  0.240  0.065
O  0.383  0.075  0.632
O  0.421  0.629  0.473
O  0.579  0.371  0.527
O  0.617  0.925  0.368
O  0.618  0.760  0.935
O  0.629  0.421  0.973
O  0.760  0.618  0.435
O  0.791  0.943  0.805
O  0.925  0.617  0.868
O  0.943  0.791  0.305

## Properties
- Crystal system: monoclinic
- DFT total energy: -7.37 eV/atom
- MP2020-corrected energy: -8.36 eV/atom
- Energy of formation from the pure elements: -2.325 eV/atom


First-principles (PBE with a Hubbard U) data for an optimized crystal structure of Sr2La2Mn4O11, as listed in the Materials Project.

Cell: 8.700 8.700 8.700 Å, 142.29 142.29 54.40°
Fractional coordinates of all 19 atoms:
Sr  0.000  0.500  0.500
Sr  0.500  0.000  0.500
La  0.250  0.750  0.500
La  0.750  0.250  0.500
Mn  0.121  0.121  0.000
Mn  0.371  0.371  0.000
Mn  0.629  0.629  0.000
Mn  0.879  0.879  0.000
O  0.000  0.000  0.000
O  0.134  0.134  0.518
O  0.134  0.616  0.000
O  0.242  0.242  0.000
O  0.384  0.384  0.518
O  0.384  0.866  0.000
O  0.616  0.134  0.000
O  0.616  0.616  0.482
O  0.758  0.758  0.000
O  0.866  0.384  0.000
O  0.866  0.866  0.482

## Properties
- Crystal system: tetragonal
- DFT total energy: -7.48 eV/atom
- MP2020-corrected energy: -8.23 eV/atom
- Energy of formation from the pure elements: -2.737 eV/atom